No. 1
Na15Ca4Nb8Si9P9O72: optimized geometry, PBE.

a = 9.133 Å, b = 9.151 Å, c = 22.619 Å
α = 90.03°, β = 90.00°, γ = 119.74°
Space group P1 (No. 1)
One atom of each set of equivalent atoms:
Na 0.000 0.000 0.000
Na 0.002 0.313 0.915
Na 0.012 0.950 0.673
Na 0.019 0.333 0.414
Na 0.046 0.664 0.821
Na 0.344 0.349 0.499
Na 0.350 0.978 0.248
Na 0.351 0.602 0.998
Na 0.384 0.987 0.747
Na 0.393 0.337 0.172
Na 0.672 0.951 0.172
Na 0.683 0.339 0.670
Na 0.691 0.654 0.585
Na 0.715 0.638 0.084
Na 0.749 0.005 0.498
Ca 0.015 0.325 0.055
Ca 0.028 0.333 0.555
Ca 0.682 0.652 0.731
Ca 0.699 0.653 0.233
Nb 0.024 0.320 0.266
Nb 0.031 0.322 0.766
Nb 0.355 0.985 0.598
Nb 0.359 0.981 0.098
Nb 0.361 0.996 0.389
Nb 0.364 0.989 0.890
Nb 0.695 0.655 0.927
Nb 0.700 0.655 0.426
Si 0.061 0.971 0.493
Si 0.063 0.702 0.992
Si 0.390 0.356 0.325
Si 0.396 0.656 0.828
Si 0.643 0.285 0.493
Si 0.647 0.974 0.993
Si 0.692 0.353 0.824
Si 0.693 0.955 0.325
Si 0.992 0.955 0.826
P 0.036 0.033 0.158
P 0.036 0.623 0.662
P 0.315 0.618 0.158
P 0.318 0.312 0.657
P 0.376 0.710 0.491
P 0.379 0.282 0.995
P 0.724 0.312 0.161
P 0.731 0.034 0.657
P 0.996 0.653 0.328
O 0.013 0.517 0.608
O 0.023 0.108 0.100
O 0.050 0.141 0.491
O 0.050 0.156 0.211
O 0.050 0.533 0.720
O 0.065 0.529 0.988
O 0.160 0.957 0.555
O 0.170 0.826 0.052
O 0.172 0.823 0.937
O 0.177 0.795 0.342
O 0.179 0.970 0.440
O 0.185 0.999 0.842
O 0.197 0.517 0.212
O 0.199 0.301 0.710
O 0.205 0.349 0.320
O 0.207 0.800 0.658
O 0.209 0.479 0.819
O 0.211 0.034 0.160
O 0.221 0.300 0.995
O 0.231 0.530 0.492
O 0.242 0.318 0.597
O 0.246 0.530 0.100
O 0.317 0.135 0.660
O 0.325 0.799 0.157
O 0.339 0.799 0.841
O 0.346 0.161 0.340
O 0.368 0.172 0.943
O 0.368 0.807 0.438
O 0.386 0.817 0.549
O 0.391 0.191 0.054
O 0.486 0.410 0.264
O 0.491 0.624 0.886
O 0.495 0.649 0.165
O 0.501 0.454 0.661
O 0.503 0.488 0.381
O 0.503 0.710 0.770
O 0.524 0.165 0.440
O 0.524 0.182 0.554
O 0.529 0.977 0.940
O 0.532 0.964 0.055
O 0.537 0.989 0.341
O 0.540 0.458 0.991
O 0.541 0.164 0.841
O 0.548 0.137 0.161
O 0.548 0.708 0.490
O 0.554 0.028 0.659
O 0.644 0.466 0.489
O 0.645 0.792 0.991
O 0.657 0.408 0.762
O 0.657 0.861 0.263
O 0.687 0.457 0.164
O 0.716 0.861 0.665
O 0.722 0.846 0.380
O 0.723 0.495 0.877
O 0.812 0.320 0.104
O 0.817 0.107 0.598
O 0.820 0.291 0.490
O 0.826 0.299 0.215
O 0.836 0.126 0.990
O 0.837 0.159 0.710
O 0.857 0.851 0.883
O 0.868 0.143 0.320
O 0.870 0.627 0.381
O 0.871 0.804 0.488
O 0.875 0.352 0.821
O 0.879 0.694 0.990
O 0.884 0.858 0.166
O 0.887 0.657 0.665
O 0.939 0.698 0.272
O 0.940 0.838 0.769
O 0.998 0.137 0.817
O 0.999 0.485 0.323

Summary:
V in Å³/f.u.: 1641.6
VASP energy in eV for the cell shown: -852.58
E_form in meV per atom: -2902



No. 2
Na21Ca4Nb8Si15P3O72: optimized geometry, PBE.

a = 9.245 Å, b = 9.254 Å, c = 22.457 Å
α = 89.79°, β = 89.88°, γ = 60.13°
Space group P1 (No. 1)
One atom of each set of equivalent atoms:
Na 0.000 0.000 0.000
Na 0.000 0.334 0.494
Na 0.270 0.721 0.495
Na 0.273 0.326 0.000
Na 0.281 0.375 0.341
Na 0.292 0.027 0.581
Na 0.293 0.028 0.081
Na 0.342 0.668 0.169
Na 0.347 0.314 0.665
Na 0.587 0.074 0.166
Na 0.593 0.668 0.668
Na 0.603 0.001 0.497
Na 0.610 0.726 0.997
Na 0.615 0.361 0.754
Na 0.636 0.350 0.251
Na 0.648 0.012 0.844
Na 0.941 0.376 0.843
Na 0.942 0.072 0.668
Na 0.942 0.317 0.165
Na 0.942 0.702 0.416
Na 0.976 0.685 0.923
Ca 0.292 0.017 0.933
Ca 0.293 0.017 0.431
Ca 0.625 0.351 0.109
Ca 0.626 0.351 0.609
Nb 0.290 0.020 0.239
Nb 0.294 0.018 0.738
Nb 0.621 0.354 0.399
Nb 0.629 0.350 0.904
Nb 0.954 0.687 0.069
Nb 0.956 0.688 0.276
Nb 0.961 0.686 0.775
Nb 0.963 0.682 0.568
Si 0.241 0.390 0.174
Si 0.243 0.700 0.672
Si 0.291 0.717 0.341
Si 0.294 0.321 0.840
Si 0.324 0.355 0.509
Si 0.593 0.714 0.839
Si 0.595 0.018 0.341
Si 0.632 0.049 0.009
Si 0.660 0.699 0.174
Si 0.663 0.968 0.673
Si 0.924 0.357 0.009
Si 0.972 0.389 0.674
Si 0.973 0.968 0.173
Si 0.988 0.321 0.340
Si 0.989 0.019 0.841
P 0.328 0.640 0.007
P 0.634 0.642 0.508
P 0.915 0.053 0.508
O 0.081 0.984 0.903
O 0.094 0.019 0.500
O 0.096 0.187 0.284
O 0.099 0.046 0.785
O 0.099 0.266 0.399
O 0.109 0.199 0.003
O 0.124 0.491 0.113
O 0.127 0.717 0.612
O 0.129 0.694 0.727
O 0.135 0.502 0.230
O 0.138 0.509 0.825
O 0.140 0.540 0.508
O 0.145 0.670 0.328
O 0.147 0.208 0.677
O 0.149 0.975 0.177
O 0.158 0.638 0.005
O 0.237 0.267 0.898
O 0.247 0.876 0.677
O 0.249 0.207 0.177
O 0.256 0.809 0.403
O 0.290 0.201 0.503
O 0.300 0.816 0.998
O 0.315 0.827 0.285
O 0.322 0.184 0.784
O 0.416 0.574 0.066
O 0.419 0.338 0.570
O 0.423 0.372 0.177
O 0.425 0.539 0.676
O 0.433 0.375 0.451
O 0.436 0.520 0.954
O 0.455 0.050 0.287
O 0.463 0.824 0.782
O 0.468 0.531 0.345
O 0.473 0.319 0.844
O 0.479 0.977 0.676
O 0.480 0.013 0.001
O 0.481 0.876 0.179
O 0.484 0.819 0.501
O 0.537 0.985 0.404
O 0.541 0.827 0.897
O 0.596 0.199 0.345
O 0.602 0.151 0.069
O 0.607 0.530 0.844
O 0.619 0.573 0.567
O 0.638 0.539 0.176
O 0.646 0.149 0.676
O 0.648 0.161 0.950
O 0.650 0.522 0.455
O 0.759 0.717 0.112
O 0.763 0.852 0.613
O 0.775 0.858 0.729
O 0.783 0.689 0.227
O 0.784 0.867 0.327
O 0.786 0.675 0.826
O 0.795 0.159 0.455
O 0.797 0.374 0.950
O 0.804 0.648 0.507
O 0.807 0.198 0.843
O 0.807 0.329 0.348
O 0.810 0.368 0.675
O 0.811 0.149 0.177
O 0.818 0.872 0.008
O 0.844 0.340 0.069
O 0.851 0.140 0.567
O 0.914 0.881 0.507
O 0.923 0.540 0.007
O 0.942 0.872 0.827
O 0.958 0.508 0.326
O 0.962 0.504 0.729
O 0.971 0.852 0.227
O 0.989 0.491 0.613
O 0.991 0.854 0.112

Summary:
V in Å³/f.u.: 1666.1
VASP energy in eV for the cell shown: -877.47
E_form in meV per atom: -2898